Entry 1:
# Lu6Sb2Mo

Crystalline Lu6Sb2Mo at its relaxed geometry (r2SCAN, the Materials Project).

The calculation puts the final energy at -34.62 eV per atom. The calculation puts the total magnetization at 0.00 μB per cell.

The structure in CIF format:
```
data_Lu6Sb2Mo
_symmetry_space_group_name_H-M 'P -6 2 m'
_symmetry_Int_Tables_number 189
_symmetry_space_group_name_Hall 'P -6 -2'
_cell_length_a 7.9331
_cell_length_b 7.9331
_cell_length_c 4.2835
_cell_angle_alpha 90.00
_cell_angle_beta 90.00
_cell_angle_gamma 120.00
loop_
_atom_site_label
_atom_site_type_symbol
_atom_site_fract_x
_atom_site_fract_y
_atom_site_fract_z
Lu1 Lu 0.0000 0.2381 0.0000
Lu2 Lu 0.0000 0.6063 0.5000
Sb1 Sb 0.3333 0.6667 0.0000
Mo1 Mo 0.0000 0.0000 0.5000
```

=====

Entry 2:
# NaLu3

Crystalline NaLu3 at its relaxed geometry (r2SCAN, the Materials Project).

The calculation puts the final energy at -29.08 eV per atom. The calculation puts the total magnetization at 0.00 μB per cell.

The structure in CIF format:
```
data_NaLu3
_symmetry_space_group_name_H-M 'F m -3 m'
_symmetry_Int_Tables_number 225
_symmetry_space_group_name_Hall '-F 4 2 3'
_cell_length_a 7.7689
_cell_length_b 7.7689
_cell_length_c 7.7689
_cell_angle_alpha 90.00
_cell_angle_beta 90.00
_cell_angle_gamma 90.00
loop_
_atom_site_label
_atom_site_type_symbol
_atom_site_fract_x
_atom_site_fract_y
_atom_site_fract_z
Na1 Na 0.0000 0.0000 0.0000
Lu1 Lu 0.0000 0.0000 0.5000
Lu2 Lu 0.2500 0.2500 0.2500
```

=====

Entry 3:
# NaLuP2O7

Crystalline NaLuP2O7 at its relaxed geometry (r2SCAN, the Materials Project).

The calculation puts the final energy at -12.16 eV per atom. The calculation puts the total magnetization at 0.00 μB per cell.

The structure in CIF format:
```
data_NaLuP2O7
_symmetry_space_group_name_H-M 'P 1 21/c 1'
_symmetry_Int_Tables_number 14
_symmetry_space_group_name_Hall '-P 2ybc'
_cell_length_a 8.9551
_cell_length_b 5.3371
_cell_length_c 13.7251
_cell_angle_alpha 90.00
_cell_angle_beta 116.09
_cell_angle_gamma 90.00
loop_
_atom_site_label
_atom_site_type_symbol
_atom_site_fract_x
_atom_site_fract_y
_atom_site_fract_z
Na1 Na 0.0531 0.2267 0.1935
Lu1 Lu 0.2437 0.2373 0.9747
P1 P 0.1861 0.7206 0.1175
P2 P 0.3209 0.7488 0.3480
O1 O 0.0276 0.7080 0.6254
O2 O 0.1897 0.0574 0.5942
O3 O 0.2146 0.5356 0.8560
O4 O 0.2216 0.6174 0.5406
O5 O 0.2334 0.9996 0.8406
O6 O 0.3332 0.7202 0.7354
O7 O 0.4965 0.7412 0.9344
```

=====

Entry 4:
# LuNbO4

Crystalline LuNbO4 at its relaxed geometry (r2SCAN, the Materials Project).

The calculation puts the final energy at -17.86 eV per atom. The calculation puts the total magnetization at 0.00 μB per cell.

The structure in CIF format:
```
data_LuNbO4
_symmetry_space_group_name_H-M 'C 1 2/c 1'
_symmetry_Int_Tables_number 15
_symmetry_space_group_name_Hall '-C 2yc'
_cell_length_a 6.9991
_cell_length_b 10.7906
_cell_length_c 5.0553
_cell_angle_alpha 90.00
_cell_angle_beta 132.24
_cell_angle_gamma 90.00
loop_
_atom_site_label
_atom_site_type_symbol
_atom_site_fract_x
_atom_site_fract_y
_atom_site_fract_z
Lu1 Lu 0.0000 0.1283 0.2500
Nb1 Nb 0.0000 0.3901 0.7500
O1 O 0.1696 0.2866 0.6649
O2 O 0.2474 0.0317 0.7850
```

=====

Entry 5:
# LuNbO4

Crystalline LuNbO4 at its relaxed geometry (r2SCAN, the Materials Project).

The calculation puts the final energy at -17.86 eV per atom. The calculation puts the total magnetization at 0.00 μB per cell.

The structure in CIF format:
```
data_LuNbO4
_symmetry_space_group_name_H-M 'P 1 2/c 1'
_symmetry_Int_Tables_number 13
_symmetry_space_group_name_Hall '-P 2yc'
_cell_length_a 5.0497
_cell_length_b 5.3287
_cell_length_c 5.2345
_cell_angle_alpha 90.00
_cell_angle_beta 94.78
_cell_angle_gamma 90.00
loop_
_atom_site_label
_atom_site_type_symbol
_atom_site_fract_x
_atom_site_fract_y
_atom_site_fract_z
Lu1 Lu 0.0000 0.2415 0.2500
Nb1 Nb 0.5000 0.2857 0.7500
O1 O 0.2480 0.0684 0.5818
O2 O 0.2570 0.4420 0.9790
```

=====

Entry 6:
# Nd3Lu

Crystalline Nd3Lu at its relaxed geometry (r2SCAN, the Materials Project).

The calculation puts the final energy at -31.56 eV per atom. The calculation puts the total magnetization at 0.00 μB per cell.

The structure in CIF format:
```
data_Nd3Lu
_symmetry_space_group_name_H-M 'P m -3 m'
_symmetry_Int_Tables_number 221
_symmetry_space_group_name_Hall '-P 4 2 3'
_cell_length_a 5.1266
_cell_length_b 5.1266
_cell_length_c 5.1266
_cell_angle_alpha 90.00
_cell_angle_beta 90.00
_cell_angle_gamma 90.00
loop_
_atom_site_label
_atom_site_type_symbol
_atom_site_fract_x
_atom_site_fract_y
_atom_site_fract_z
Nd1 Nd 0.0000 0.0000 0.5000
Lu1 Lu 0.5000 0.5000 0.5000
```